Record 1
# Na3Hf2Si2PO12

A geometry-optimized Na3Hf2Si2PO12 structure (PBE, Materials Project).

Unit cell a=15.8602 b=9.1183 c=9.1200 alpha=90.00 beta=124.82 gamma=90.00
Sites, in units of the cell vectors:
Hf  0.6055  0.7500  0.0614
O  0.6524  0.9231  0.2428
O  0.1524  0.5769  0.7428
Si  0.1487  0.6047  0.2440
Si  0.1487  0.3953  0.7440
Hf  0.8954  0.2552  0.4356
O  0.5426  0.8326  0.5648
O  0.6524  0.0769  0.7428
O  0.6489  0.8557  0.9208
O  0.4233  0.3635  0.7566
O  0.9608  0.6650  0.4404
O  0.3605  0.8442  0.5910
O  0.8605  0.3442  0.5910
Na  0.2425  0.7755  0.9954
O  0.1524  0.4231  0.2428
P  0.0010  0.0404  0.2464
O  0.7499  0.1629  0.2552
Na  0.7425  0.2755  0.9954
Na  0.7425  0.7245  0.4954
O  0.9233  0.1365  0.2566
P  0.5010  0.4596  0.7464
O  0.0779  0.8567  0.7439
O  0.8516  0.4245  0.2547
Na  0.3077  0.5648  0.7108
O  0.2566  0.8201  0.7422
O  0.1489  0.6443  0.4208
Si  0.6487  0.1047  0.2440
O  0.5603  0.4386  0.4102
Hf  0.6055  0.2500  0.5614
Na  0.5030  0.1055  0.7513
O  0.9366  0.9478  0.0740
O  0.7566  0.6799  0.2422
Si  0.3548  0.8957  0.7584
O  0.3516  0.9245  0.2547
O  0.9608  0.3350  0.9404
O  0.5779  0.3567  0.7439
O  0.9366  0.0522  0.5740
Na  0.0030  0.3945  0.2513
O  0.0426  0.3326  0.5648
Na  0.8077  0.9352  0.2108
O  0.5603  0.5614  0.9102
O  0.7499  0.8371  0.7552
O  0.5779  0.6433  0.2439
O  0.4366  0.4478  0.0740
O  0.9233  0.8635  0.7566
O  0.3605  0.1558  0.0910
O  0.3516  0.0755  0.7547
Si  0.8548  0.3957  0.7584
O  0.8605  0.6558  0.0910
Hf  0.3955  0.2448  0.9356
O  0.0426  0.6674  0.0648
Na  0.0030  0.6055  0.7513
Na  0.3077  0.4352  0.2108
Hf  0.3955  0.7552  0.4356
O  0.4608  0.8350  0.9404
O  0.1489  0.3557  0.9208
Hf  0.1055  0.7500  0.5614
O  0.0603  0.9386  0.4102
O  0.5426  0.1674  0.0648
O  0.2499  0.3371  0.7552
Na  0.2425  0.2245  0.4954
O  0.0779  0.1433  0.2439
Si  0.3548  0.1043  0.2584
Si  0.8548  0.6043  0.2584
Na  0.5030  0.8945  0.2513
O  0.8516  0.5755  0.7547
Si  0.6487  0.8953  0.7440
O  0.4366  0.5522  0.5740
P  0.5010  0.5404  0.2464
Na  0.8077  0.0648  0.7108
Hf  0.8954  0.7448  0.9356
O  0.6489  0.1443  0.4208
O  0.0603  0.0614  0.9102
P  0.0010  0.9596  0.7464
O  0.2566  0.1799  0.2422
O  0.2499  0.6629  0.2552
O  0.7566  0.3201  0.7422
O  0.4608  0.1650  0.4404
Hf  0.1055  0.2500  0.0614
O  0.4233  0.6365  0.2566

## Properties
The formation energy is -3.212 eV/atom. Its relative energy among the computed polymorphs is 0.0000 eV per atom. The calculation puts the total energy at -622.043 eV per cell. The calculation puts the corrected total energy (MP2020 scheme) at -8.188 eV/atom.



Record 2
# Na7Hf2Si5Sn2PO24

A geometry-optimized Na7Hf2Si5Sn2PO24 structure (PBE, Materials Project).

Unit cell a=9.1173 b=9.1287 c=22.6533 alpha=89.99 beta=89.91 gamma=120.06
Sites, in units of the cell vectors:
Na  0.6670  0.9673  0.5831
Hf  0.9996  0.9996  0.6486
O  0.3008  0.8411  0.9760
O  0.1632  0.9736  0.9126
O  0.5419  0.6973  0.9714
O  0.0342  0.8267  0.6931
O  0.3030  0.4537  0.4731
O  0.3693  0.8804  0.8576
O  0.9643  0.1679  0.3047
O  0.3667  0.4881  0.3614
Sn  0.3298  0.6672  0.3146
O  0.6318  0.1406  0.4216
O  0.8798  0.3710  0.6420
Na  0.3315  0.0291  0.4167
O  0.4806  0.3125  0.7450
Na  0.0327  0.6999  0.5829
O  0.3128  0.4834  0.7570
Si  0.6649  0.6259  0.5821
O  0.8471  0.5047  0.4209
O  0.1718  0.6900  0.7545
O  0.9671  0.7930  0.8088
O  0.5161  0.6848  0.2565
O  0.8803  0.5037  0.1406
O  0.1598  0.7041  0.4748
O  0.4923  0.6405  0.5777
Si  0.3737  0.0402  0.5822
Sn  0.6668  0.3300  0.9813
O  0.4938  0.1265  0.6403
O  0.1207  0.6323  0.3566
O  0.9804  0.1655  0.5886
Si  0.7056  0.9985  0.7504
O  0.8253  0.7904  0.3091
O  0.5000  0.1553  0.9217
O  0.1861  0.1677  0.0880
O  0.4936  0.3596  0.4220
O  0.7033  0.1582  0.0296
Na  0.3380  0.6636  0.1659
Hf  0.9967  0.0013  0.3519
O  0.3115  0.8296  0.2537
Si  0.2938  0.2951  0.7510
O  0.1502  0.5038  0.5772
O  0.8340  0.8135  0.5883
O  0.4872  0.3641  0.1427
Na  0.9914  0.9955  0.0002
O  0.0260  0.1885  0.9118
O  0.1605  0.4533  0.9754
Na  0.9966  0.0033  0.4995
O  0.5461  0.8375  0.4751
Sn  0.3329  0.6637  0.0187
Hf  0.9993  0.0031  0.8530
O  0.8282  0.3097  0.2438
O  0.3533  0.5048  0.0782
Na  0.0005  0.6339  0.2505
Sn  0.3334  0.6690  0.5182
O  0.2069  0.1734  0.8085
O  0.1735  0.9674  0.1925
Na  0.3306  0.2961  0.9185
O  0.1734  0.2105  0.6930
Si  0.6260  0.9592  0.4164
Na  0.6354  0.6347  0.7492
O  0.8108  0.9721  0.4113
O  0.1498  0.6463  0.0785
Na  0.6678  0.3228  0.8342
O  0.9842  0.8162  0.0878
Si  0.9579  0.6260  0.0819
P  0.6233  0.6672  0.9173
Sn  0.3314  0.6695  0.8156
O  0.3571  0.8523  0.5787
O  0.5189  0.8259  0.7560
Si  0.0380  0.3726  0.9175
Na  0.9996  0.3657  0.7506
O  0.8037  0.8206  0.9114
Na  0.7033  0.6685  0.4180
O  0.4843  0.1699  0.2438
Hf  0.6747  0.3321  0.4805
O  0.5029  0.8661  0.0767
O  0.1773  0.1958  0.4110
Na  0.3650  0.3643  0.2481
O  0.6383  0.5041  0.9220
O  0.1859  0.0210  0.5885
P  0.6657  0.0407  0.0835
Si  0.9996  0.2927  0.2485
Si  0.0004  0.7066  0.7512
O  0.5131  0.6319  0.8607
O  0.8271  0.0280  0.0898
Si  0.3376  0.9610  0.9176
O  0.6288  0.1155  0.1398
O  0.4564  0.2945  0.0247
O  0.6902  0.5193  0.2456
Na  0.6354  0.9998  0.2512
Na  0.3336  0.6674  0.6668
Si  0.2949  0.0008  0.2500
Na  0.6777  0.3324  0.3338
O  0.8313  0.5194  0.7451
O  0.0342  0.2101  0.1900
O  0.7951  0.8328  0.1951
O  0.1202  0.4927  0.8585
Sn  0.6677  0.3381  0.1847
O  0.1716  0.4799  0.2550
Na  0.3659  0.0003  0.7509
O  0.8360  0.2986  0.5280
Na  0.2956  0.9670  0.0817
O  0.6977  0.5388  0.5246
O  0.6314  0.5069  0.6405
O  0.8322  0.0333  0.8056
O  0.7880  0.9638  0.6914
Si  0.7060  0.7065  0.2509
O  0.5061  0.8755  0.3577
Na  0.3018  0.3326  0.5838
Na  0.0377  0.3371  0.0842
Hf  0.9984  0.9952  0.1476
O  0.6859  0.1664  0.7447
Hf  0.6671  0.3338  0.6849
Si  0.9623  0.3340  0.5836
O  0.2106  0.0365  0.3079
O  0.0282  0.8403  0.4114
P  0.3320  0.3751  0.4169
O  0.4591  0.1603  0.5245
O  0.8546  0.3664  0.9223
O  0.8445  0.5408  0.0229
Si  0.0399  0.6658  0.4160
Na  0.9710  0.6683  0.9173
Si  0.3766  0.3377  0.0827

## Properties
The formation energy is -2.896 eV/atom. The calculation puts the total energy at -872.196 eV per cell. The calculation puts the corrected total energy (MP2020 scheme) at -7.493 eV/atom.



Question: What is the corrected total energy (MP2020 scheme) in the second record?
Answer: -7.493 eV/atom